DyAu3, relaxed, DFT GGA-PBE; space-group type = Pmmn
1.0
5.068 0.000 0.000
0.000 6.179 0.000
0.000 0.000 5.173
Dy Au
2 6
Direct
0.250 0.250 0.155
0.750 0.750 0.845
0.250 0.505 0.658
0.250 0.750 0.161
0.250 0.995 0.658
0.750 0.005 0.342
0.750 0.250 0.839
0.750 0.495 0.342

Ba2CaCu3F14, relaxed, DFT GGA-PBE; space-group type = P1; size of the total moment = 4.00 μB/f.u.
1.0
5.403 0.000 0.000
-2.674 6.915 0.000
-0.033 -0.447 14.887
Ba Ca Cu F
4 2 6 28
Direct
0.000 0.000 0.000
0.125 0.999 0.499
0.383 0.770 0.744
0.512 0.771 0.245
0.671 0.384 0.871
0.836 0.382 0.372
0.113 0.144 0.747
0.156 0.145 0.247
0.351 0.624 0.997
0.396 0.625 0.497
0.754 0.385 0.622
0.756 0.386 0.121
0.080 0.632 0.913
0.086 0.885 0.214
0.123 0.554 0.104
0.125 0.648 0.577
0.175 0.364 0.467
0.196 0.401 0.277
0.212 0.703 0.398
0.300 0.066 0.845
0.312 0.364 0.966
0.333 0.405 0.777
0.382 0.121 0.667
0.398 0.222 0.143
0.425 0.888 0.030
0.428 0.136 0.332
0.559 0.551 0.601
0.589 0.888 0.529
0.613 0.704 0.900
0.644 0.273 0.508
0.650 0.642 0.077
0.673 0.629 0.414
0.754 0.274 0.007
0.758 0.498 0.237
0.837 0.139 0.831
0.857 0.125 0.165
0.864 0.496 0.736
0.888 0.064 0.346
0.920 0.880 0.716
0.946 0.217 0.643

Na2AlGaP2SO12, relaxed, DFT GGA-PBE; space-group type = P1; size of the total moment = 0.00 μB/f.u.
1.0
8.559 0.000 0.000
4.275 7.419 0.000
0.124 0.066 21.805
Na Al Ga P S O
12 6 6 12 6 72
Direct
0.000 0.000 0.000
0.001 0.652 0.748
0.298 0.687 0.581
0.316 0.351 0.167
0.333 0.333 0.666
0.336 0.983 0.415
0.633 0.022 0.248
0.649 0.685 0.833
0.667 0.667 0.333
0.670 0.315 0.081
0.964 0.353 0.915
0.982 0.018 0.499
0.331 0.360 0.815
0.333 0.349 0.517
0.343 0.349 0.316
0.664 0.694 0.480
0.666 0.682 0.186
0.997 0.017 0.352
0.012 0.015 0.648
0.330 0.350 0.019
0.664 0.684 0.683
0.677 0.683 0.981
0.997 0.029 0.150
0.999 0.015 0.851
0.002 0.306 0.751
0.046 0.644 0.916
0.288 0.019 0.252
0.296 0.724 0.750
0.333 0.637 0.417
0.379 0.980 0.582
0.618 0.352 0.917
0.626 0.064 0.417
0.667 0.969 0.085
0.709 0.313 0.251
0.955 0.682 0.582
0.958 0.398 0.084
0.006 0.722 0.251
0.041 0.356 0.416
0.338 0.059 0.915
0.374 0.691 0.084
0.668 0.392 0.581
0.702 0.025 0.750
0.024 0.192 0.410
0.025 0.831 0.910
0.031 0.192 0.694
0.038 0.798 0.195
0.124 0.384 0.361
0.129 0.523 0.859
0.144 0.381 0.078
0.148 0.517 0.575
0.157 0.320 0.471
0.158 0.557 0.973
0.163 0.542 0.260
0.167 0.831 0.410
0.172 0.328 0.758
0.174 0.042 0.911
0.174 0.050 0.195
0.176 0.798 0.692
0.190 0.995 0.587
0.194 0.848 0.091
0.203 0.987 0.310
0.205 0.844 0.806
0.301 0.170 0.971
0.302 0.556 0.476
0.312 0.187 0.260
0.313 0.536 0.758
0.357 0.167 0.573
0.360 0.147 0.861
0.360 0.520 0.361
0.361 0.524 0.081
0.453 0.717 0.028
0.461 0.856 0.525
0.481 0.852 0.245
0.482 0.706 0.743
0.490 0.659 0.138
0.492 0.895 0.639
0.498 0.880 0.921
0.500 0.163 0.081
0.502 0.373 0.861
0.502 0.661 0.424
0.504 0.142 0.359
0.504 0.375 0.575
0.519 0.332 0.259
0.522 0.184 0.758
0.532 0.183 0.472
0.544 0.320 0.978
0.629 0.503 0.637
0.638 0.523 0.921
0.640 0.884 0.144
0.644 0.874 0.424
0.685 0.861 0.745
0.691 0.499 0.242
0.694 0.480 0.527
0.694 0.860 0.027
0.779 0.194 0.193
0.781 0.055 0.694
0.813 0.044 0.408
0.813 0.187 0.911
0.818 0.986 0.804
0.829 0.213 0.587
0.833 0.216 0.306
0.835 0.707 0.527
0.837 0.500 0.745
0.837 0.992 0.090
0.840 0.708 0.245
0.844 0.468 0.025
0.857 0.660 0.920
0.860 0.516 0.139
0.861 0.515 0.424
0.881 0.649 0.643
0.968 0.229 0.810
0.968 0.842 0.304
0.975 0.853 0.588
0.977 0.208 0.090

Na2Ti9O19, relaxed, DFT GGA-PBE; space-group type = Cm; size of the total moment = 0.00 μB/f.u.; relative energy among the computed polymorphs = 48.4 meV/atom
1.0
6.268 -1.896 0.000
6.268 1.896 0.000
-3.897 0.000 15.409
Na Ti O
2 9 19
Direct
0.000 0.000 0.000
0.711 0.711 0.499
0.495 0.495 0.797
0.511 0.511 0.379
0.606 0.606 0.631
0.625 0.625 0.198
0.715 0.715 0.999
0.795 0.795 0.798
0.817 0.817 0.367
0.911 0.911 0.618
0.925 0.925 0.201
0.073 0.073 0.624
0.085 0.085 0.204
0.203 0.203 0.998
0.334 0.334 0.791
0.350 0.350 0.373
0.442 0.442 0.645
0.465 0.465 0.229
0.549 0.549 0.495
0.559 0.559 0.909
0.616 0.616 0.086
0.638 0.638 0.757
0.666 0.666 0.359
0.757 0.757 0.639
0.783 0.783 0.240
0.802 0.802 0.910
0.859 0.859 0.089
0.874 0.874 0.502
0.956 0.956 0.769
0.980 0.980 0.352

MgMnTe2, relaxed, DFT GGA-PBE; space-group type = P-4m2
1.0
4.553 0.000 0.000
0.000 4.553 0.000
0.000 0.000 6.412
Mg Mn Te
1 1 2
Direct
0.000 0.000 0.000
0.500 0.500 0.500
0.000 0.500 0.259
0.500 0.000 0.741

Er2Ga10Os3, relaxed, DFT GGA-PBE; space-group type = P4/mbm
1.0
8.909 0.000 0.000
0.000 8.909 0.000
0.000 0.000 6.406
Er Ga Os
4 20 6
Direct
0.183 0.317 0.000
0.317 0.817 0.000
0.683 0.183 0.000
0.817 0.683 0.000
0.000 0.500 0.284
0.000 0.500 0.716
0.061 0.793 0.293
0.061 0.793 0.707
0.207 0.061 0.293
0.207 0.061 0.707
0.293 0.561 0.293
0.293 0.561 0.707
0.439 0.293 0.293
0.439 0.293 0.707
0.500 0.000 0.284
0.500 0.000 0.716
0.561 0.707 0.293
0.561 0.707 0.707
0.707 0.439 0.293
0.707 0.439 0.707
0.793 0.939 0.293
0.793 0.939 0.707
0.939 0.207 0.293
0.939 0.207 0.707
0.000 0.000 0.000
0.179 0.321 0.500
0.321 0.821 0.500
0.500 0.500 0.000
0.679 0.179 0.500
0.821 0.679 0.500

| no. | E_tot (eV/atom) |
| --- | --- |
| 1 | -4.3261 |
| 2 | -4.8146 |
| 3 | -6.5249 |
| 4 | -8.4459 |
| 5 | -4.7431 |
| 6 | -5.2899 |